# 1
# Ti6Al16Ir7 | the Materials Project | PBE | relaxed
# Raw total energy ... -6.595 eV/atom
# Energy of formation from the pure elements ... -0.762 eV per atom
data_Ti6Al16Ir7
_space_group_name_H-M_alt 'P 1'
_space_group_IT_number 1
_space_group_name_Hall 'P 1'
_cell_length_a 8.591
_cell_length_b 8.591
_cell_length_c 8.591
_cell_angle_alpha 60.00
_cell_angle_beta 60.00
_cell_angle_gamma 60.00
loop_
_atom_site_label
_atom_site_type_symbol
_atom_site_fract_x
_atom_site_fract_y
_atom_site_fract_z
_atom_site_occupancy
Al1 Al 0.879 0.879 0.362 1
Al2 Al 0.657 0.657 0.657 1
Ir1 Ir 0.000 0.500 0.000 1
Ir2 Ir 0.000 0.000 0.000 1
Al3 Al 0.362 0.879 0.879 1
Al4 Al 0.657 0.657 0.029 1
Al5 Al 0.343 0.971 0.343 1
Al6 Al 0.879 0.879 0.879 1
Ti1 Ti 0.321 0.679 0.679 1
Al7 Al 0.343 0.343 0.971 1
Al8 Al 0.343 0.343 0.343 1
Al9 Al 0.121 0.638 0.121 1
Ti2 Ti 0.679 0.679 0.321 1
Al10 Al 0.638 0.121 0.121 1
Al11 Al 0.879 0.362 0.879 1
Ti3 Ti 0.679 0.321 0.321 1
Ti4 Ti 0.321 0.679 0.321 1
Ti5 Ti 0.679 0.321 0.679 1
Ir3 Ir 0.500 0.500 0.000 1
Ti6 Ti 0.321 0.321 0.679 1
Ir4 Ir 0.500 0.000 0.500 1
Al12 Al 0.029 0.657 0.657 1
Ir5 Ir 0.000 0.500 0.500 1
Al13 Al 0.121 0.121 0.638 1
Al14 Al 0.971 0.343 0.343 1
Ir6 Ir 0.500 0.000 0.000 1
Al15 Al 0.657 0.029 0.657 1
Ir7 Ir 0.000 0.000 0.500 1
Al16 Al 0.121 0.121 0.121 1

=====

# 2
# FeNiPt2 | the Materials Project | PBE | relaxed
# Raw total energy ... -6.744 eV/atom
# Energy of formation from the pure elements ... -0.146 eV per atom
data_FeNiPt2
_space_group_name_H-M_alt 'P 1'
_space_group_IT_number 1
_space_group_name_Hall 'P 1'
_cell_length_a 2.688
_cell_length_b 2.688
_cell_length_c 7.308
_cell_angle_alpha 90.00
_cell_angle_beta 90.00
_cell_angle_gamma 90.00
loop_
_atom_site_label
_atom_site_type_symbol
_atom_site_fract_x
_atom_site_fract_y
_atom_site_fract_z
_atom_site_occupancy
Ni1 Ni 0.000 0.000 0.500 1
Fe1 Fe 0.000 0.000 0.000 1
Pt1 Pt 0.500 0.500 0.754 1
Pt2 Pt 0.500 0.500 0.246 1

=====

# 3
# K2HgP2Se6 | the Materials Project | PBE | relaxed
# Raw total energy ... -3.646 eV/atom
# Energy of formation from the pure elements ... -0.783 eV per atom
data_K2HgP2Se6
_space_group_name_H-M_alt 'P 1'
_space_group_IT_number 1
_space_group_name_Hall 'P 1'
_cell_length_a 7.446
_cell_length_b 13.313
_cell_length_c 14.593
_cell_angle_alpha 69.57
_cell_angle_beta 90.00
_cell_angle_gamma 90.00
loop_
_atom_site_label
_atom_site_type_symbol
_atom_site_fract_x
_atom_site_fract_y
_atom_site_fract_z
_atom_site_occupancy
Se1 Se 0.991 0.910 0.855 1
P1 P 0.963 0.039 0.918 1
Se2 Se 0.220 0.640 0.054 1
Hg1 Hg 0.892 0.742 0.022 1
K1 K 0.554 0.401 0.216 1
P2 P 0.037 0.961 0.082 1
Se3 Se 0.780 0.360 0.946 1
Se4 Se 0.831 0.598 0.498 1
P3 P 0.888 0.518 0.941 1
Se5 Se 0.009 0.090 0.145 1
P4 P 0.112 0.482 0.059 1
K2 K 0.040 0.902 0.379 1
Se6 Se 0.491 0.090 0.645 1
Se7 Se 0.198 0.888 0.602 1
Se8 Se 0.669 0.598 0.998 1
K3 K 0.446 0.599 0.784 1
P5 P 0.612 0.518 0.441 1
Hg2 Hg 0.608 0.742 0.522 1
Se9 Se 0.185 0.157 0.852 1
Se10 Se 0.280 0.640 0.554 1
Se11 Se 0.802 0.112 0.398 1
K4 K 0.540 0.098 0.121 1
Se12 Se 0.685 0.843 0.648 1
Se13 Se 0.511 0.617 0.299 1
Se14 Se 0.509 0.910 0.355 1
K5 K 0.460 0.902 0.879 1
K6 K 0.960 0.098 0.621 1
Se15 Se 0.698 0.112 0.898 1
Se16 Se 0.315 0.157 0.352 1
Hg3 Hg 0.108 0.258 0.978 1
Se17 Se 0.302 0.888 0.102 1
Hg4 Hg 0.392 0.258 0.478 1
Se18 Se 0.815 0.843 0.148 1
Se19 Se 0.720 0.360 0.446 1
P6 P 0.537 0.039 0.418 1
Se20 Se 0.989 0.617 0.799 1
Se21 Se 0.331 0.402 0.002 1
Se22 Se 0.489 0.383 0.701 1
Se23 Se 0.011 0.383 0.201 1
P7 P 0.463 0.961 0.582 1
Se24 Se 0.169 0.402 0.502 1
K7 K 0.054 0.599 0.284 1
K8 K 0.946 0.401 0.716 1
P8 P 0.388 0.482 0.559 1

=====

# 4
# Na3ScNbSi2PO12 | the Materials Project | PBE | relaxed
# Raw total energy ... -7.384 eV/atom
# Energy of formation from the pure elements ... -2.994 eV per atom
data_Na3ScNbSi2PO12
_space_group_name_H-M_alt 'P 1'
_space_group_IT_number 1
_space_group_name_Hall 'P 1'
_cell_length_a 9.101
_cell_length_b 9.101
_cell_length_c 22.661
_cell_angle_alpha 89.87
_cell_angle_beta 90.13
_cell_angle_gamma 119.90
loop_
_atom_site_label
_atom_site_type_symbol
_atom_site_fract_x
_atom_site_fract_y
_atom_site_fract_z
_atom_site_occupancy
O1 O 0.164 0.197 0.693 1
O2 O 0.133 0.637 0.357 1
O3 O 0.189 0.194 0.410 1
O4 O 0.694 0.163 0.031 1
O5 O 0.839 0.036 0.087 1
Na1 Na 0.312 0.344 0.583 1
O6 O 0.363 0.867 0.857 1
O7 O 0.506 0.152 0.922 1
O8 O 0.502 0.647 0.578 1
O9 O 0.019 0.832 0.411 1
O10 O 0.504 0.639 0.864 1
P1 P 0.958 0.333 0.586 1
Na2 Na 0.374 0.012 0.749 1
Na3 Na 0.339 0.670 0.662 1
O11 O 0.498 0.863 0.359 1
O12 O 0.213 0.021 0.308 1
Si1 Si 0.707 0.999 0.750 1
Sc1 Sc 0.332 0.674 0.519 1
Si2 Si 0.960 0.628 0.085 1
O13 O 0.811 0.977 0.412 1
O14 O 0.880 0.354 0.642 1
Si3 Si 0.001 0.293 0.250 1
Na4 Na 0.005 0.004 0.996 1
O15 O 0.188 0.037 0.590 1
Sc2 Sc 0.665 0.340 0.186 1
Na5 Na 0.645 0.011 0.250 1
P2 P 0.292 0.999 0.252 1
O16 O 0.800 0.971 0.690 1
O17 O 0.208 0.178 0.809 1
O18 O 0.855 0.528 0.744 1
Na6 Na 0.989 0.355 0.750 1
Si4 Si 0.373 0.332 0.084 1
Si5 Si 0.372 0.040 0.585 1
Si6 Si 0.040 0.665 0.417 1
Na7 Na 0.996 0.995 0.496 1
O19 O 0.305 0.838 0.972 1
O20 O 0.686 0.165 0.745 1
O21 O 0.361 0.496 0.364 1
O22 O 0.172 0.703 0.754 1
O23 O 0.312 0.453 0.475 1
Na8 Na 0.322 0.293 0.915 1
O24 O 0.831 0.530 0.026 1
O25 O 0.822 0.792 0.309 1
P3 P 0.334 0.375 0.419 1
Sc3 Sc 0.998 0.007 0.852 1
O26 O 0.875 0.512 0.142 1
O27 O 0.971 0.171 0.305 1
O28 O 0.029 0.200 0.190 1
O29 O 0.835 0.314 0.245 1
O30 O 0.353 0.498 0.078 1
P4 P 0.001 0.708 0.752 1
O31 O 0.171 0.973 0.198 1
O32 O 0.139 0.478 0.577 1
Si7 Si 0.627 0.961 0.418 1
Na9 Na 0.656 0.688 0.083 1
Na10 Na 0.663 0.328 0.829 1
O33 O 0.515 0.827 0.756 1
Nb1 Nb 0.006 0.003 0.147 1
Sc4 Sc 0.660 0.335 0.686 1
O34 O 0.297 0.828 0.254 1
O35 O 0.488 0.125 0.642 1
Si8 Si 0.293 0.294 0.751 1
O36 O 0.829 0.029 0.805 1
O37 O 0.646 0.120 0.142 1
O38 O 0.837 0.306 0.531 1
O39 O 0.155 0.458 0.976 1
Na11 Na 0.330 0.661 0.162 1
O40 O 0.470 0.169 0.526 1
Na12 Na 0.672 0.337 0.329 1
Sc5 Sc 0.326 0.668 0.019 1
Nb2 Nb 0.330 0.661 0.314 1
O41 O 0.630 0.145 0.423 1
O42 O 0.297 0.479 0.756 1
P5 P 0.667 0.042 0.086 1
O43 O 0.806 0.811 0.910 1
O44 O 0.472 0.145 0.244 1
O45 O 0.496 0.362 0.138 1
Na13 Na 0.707 0.678 0.415 1
Na14 Na 0.978 0.678 0.916 1
O46 O 0.168 0.981 0.911 1
P6 P 0.625 0.666 0.919 1
Nb3 Nb 0.997 0.994 0.647 1
O47 O 0.631 0.495 0.921 1
O48 O 0.505 0.369 0.421 1
O49 O 0.979 0.787 0.808 1
O50 O 0.855 0.370 0.923 1
Si9 Si 0.668 0.627 0.584 1
O51 O 0.964 0.161 0.587 1
Na15 Na 0.988 0.626 0.249 1
O52 O 0.689 0.523 0.245 1
Si10 Si 0.706 0.707 0.251 1
O53 O 0.963 0.812 0.090 1
O54 O 0.638 0.504 0.638 1
Na16 Na 0.041 0.345 0.082 1
Nb4 Nb 0.339 0.670 0.814 1
Si11 Si 0.335 0.960 0.917 1
O55 O 0.522 0.861 0.077 1
O56 O 0.467 0.304 0.024 1
Na17 Na 0.655 0.959 0.582 1
O57 O 0.027 0.829 0.698 1
O58 O 0.848 0.494 0.422 1
O59 O 0.182 0.160 0.089 1
O60 O 0.840 0.818 0.589 1
O61 O 0.023 0.189 0.912 1
O62 O 0.162 0.695 0.472 1
O63 O 0.137 0.502 0.859 1
Nb5 Nb 0.673 0.336 0.481 1
O64 O 0.696 0.533 0.524 1
O65 O 0.356 0.856 0.578 1
Si12 Si 0.039 0.373 0.918 1
O66 O 0.521 0.703 0.256 1
O67 O 0.803 0.836 0.193 1
O68 O 0.144 0.644 0.078 1
Na18 Na 0.322 0.022 0.416 1
Nb6 Nb 0.664 0.327 0.981 1
O69 O 0.173 0.485 0.256 1
Sc6 Sc 0.993 0.002 0.352 1
O70 O 0.477 0.311 0.745 1
O71 O 0.542 0.845 0.476 1
O72 O 0.547 0.688 0.975 1

=====

# 5
# DyErO3 | the Materials Project | PBE | relaxed
# Raw total energy ... -8.341 eV/atom
# Energy of formation from the pure elements ... -3.949 eV per atom
data_DyErO3
_space_group_name_H-M_alt 'P 1'
_space_group_IT_number 1
_space_group_name_Hall 'P 1'
_cell_length_a 6.412
_cell_length_b 6.412
_cell_length_c 12.701
_cell_angle_alpha 90.00
_cell_angle_beta 90.00
_cell_angle_gamma 120.00
loop_
_atom_site_label
_atom_site_type_symbol
_atom_site_fract_x
_atom_site_fract_y
_atom_site_fract_z
_atom_site_occupancy
O1 O 0.667 0.333 0.021 1
O2 O 0.000 0.000 0.961 1
Dy1 Dy 0.000 0.000 0.765 1
O3 O 0.000 0.694 0.670 1
O4 O 0.365 0.365 0.325 1
Dy2 Dy 0.333 0.667 0.734 1
O5 O 0.667 0.333 0.521 1
O6 O 0.635 0.000 0.325 1
Dy3 Dy 0.333 0.667 0.234 1
O7 O 0.306 0.000 0.170 1
O8 O 0.000 0.000 0.461 1
O9 O 0.306 0.306 0.670 1
O10 O 0.000 0.306 0.170 1
O11 O 0.635 0.635 0.825 1
O12 O 0.333 0.667 0.521 1
O13 O 0.000 0.635 0.325 1
Dy4 Dy 0.000 0.000 0.265 1
O14 O 0.000 0.365 0.825 1
Dy5 Dy 0.667 0.333 0.734 1
O15 O 0.333 0.667 0.021 1
Er1 Er 0.667 0.667 0.997 1
Er2 Er 0.333 0.333 0.497 1
O16 O 0.365 0.000 0.825 1
Er3 Er 0.333 0.000 0.997 1
O17 O 0.694 0.000 0.670 1
Dy6 Dy 0.667 0.333 0.234 1
Er4 Er 0.000 0.667 0.497 1
Er5 Er 0.667 0.000 0.497 1
O18 O 0.694 0.694 0.170 1
Er6 Er 0.000 0.333 0.997 1

=====

# 6
# Ho4Si2S3O7 | the Materials Project | PBE | relaxed
# Raw total energy ... -7.630 eV/atom
# Energy of formation from the pure elements ... -3.261 eV per atom
data_Ho4Si2S3O7
_space_group_name_H-M_alt 'P 1'
_space_group_IT_number 1
_space_group_name_Hall 'P 1'
_cell_length_a 10.717
_cell_length_b 10.717
_cell_length_c 10.717
_cell_angle_alpha 113.84
_cell_angle_beta 113.84
_cell_angle_gamma 101.05
loop_
_atom_site_label
_atom_site_type_symbol
_atom_site_fract_x
_atom_site_fract_y
_atom_site_fract_z
_atom_site_occupancy
O1 O 0.566 0.799 0.767 1
Ho1 Ho 0.672 0.328 0.000 1
O2 O 0.225 0.708 0.765 1
Ho2 Ho 0.328 0.328 0.655 1
S1 S 0.729 0.625 0.604 1
Ho3 Ho 0.034 0.798 0.764 1
Si1 Si 0.279 0.154 0.875 1
S2 S 0.750 0.250 0.500 1
O3 O 0.458 0.192 0.983 1
O4 O 0.540 0.058 0.765 1
Ho4 Ho 0.716 0.452 0.736 1
O5 O 0.718 0.451 0.267 1
O6 O 0.808 0.790 0.265 1
O7 O 0.292 0.775 0.235 1
S3 S 0.250 0.750 0.500 1
S4 S 0.021 0.625 0.896 1
O8 O 0.775 0.775 0.000 1
O9 O 0.201 0.968 0.767 1
S5 S 0.729 0.125 0.104 1
S6 S 0.000 0.000 0.000 1
Ho5 Ho 0.422 0.578 0.500 1
Ho6 Ho 0.019 0.284 0.736 1
O10 O 0.525 0.025 0.500 1
Si2 Si 0.904 0.529 0.375 1
O11 O 0.201 0.434 0.233 1
Ho7 Ho 0.328 0.672 0.000 1
Si3 Si 0.471 0.096 0.625 1
Ho8 Ho 0.422 0.922 0.845 1
O12 O 0.032 0.799 0.233 1
O13 O 0.525 0.790 0.983 1
S7 S 0.875 0.271 0.896 1
O14 O 0.458 0.475 0.265 1
S8 S 0.500 0.500 0.000 1
O15 O 0.210 0.192 0.735 1
S9 S 0.875 0.979 0.604 1
O16 O 0.808 0.542 0.017 1
O17 O 0.225 0.225 0.000 1
O18 O 0.184 0.451 0.733 1
O19 O 0.975 0.475 0.500 1
Si4 Si 0.471 0.846 0.375 1
Ho9 Ho 0.672 0.672 0.345 1
Si5 Si 0.596 0.721 0.875 1
Ho10 Ho 0.078 0.578 0.155 1
O20 O 0.549 0.282 0.733 1
Si6 Si 0.846 0.721 0.125 1
Si7 Si 0.154 0.529 0.625 1
Ho11 Ho 0.202 0.966 0.236 1
O21 O 0.292 0.058 0.517 1
Ho12 Ho 0.548 0.284 0.264 1
S10 S 0.375 0.271 0.396 1
Ho13 Ho 0.078 0.922 0.500 1
O22 O 0.525 0.542 0.735 1
O23 O 0.942 0.708 0.483 1
Ho14 Ho 0.731 0.966 0.764 1
S11 S 0.021 0.125 0.396 1
Ho15 Ho 0.034 0.269 0.236 1
O24 O 0.540 0.775 0.483 1
S12 S 0.375 0.979 0.104 1
Si8 Si 0.279 0.404 0.125 1
O25 O 0.942 0.460 0.235 1
O26 O 0.210 0.475 0.017 1
Ho16 Ho 0.716 0.981 0.264 1
O27 O 0.549 0.816 0.267 1
O28 O 0.225 0.460 0.517 1

=====

# 7
# ThRh | the Materials Project | PBE | relaxed
# Raw total energy ... -8.344 eV/atom
# Energy of formation from the pure elements ... -0.955 eV per atom
data_ThRh
_space_group_name_H-M_alt 'P 1'
_space_group_IT_number 1
_space_group_name_Hall 'P 1'
_cell_length_a 6.071
_cell_length_b 6.071
_cell_length_c 4.188
_cell_angle_alpha 90.00
_cell_angle_beta 90.00
_cell_angle_gamma 142.50
loop_
_atom_site_label
_atom_site_type_symbol
_atom_site_fract_x
_atom_site_fract_y
_atom_site_fract_z
_atom_site_occupancy
Th1 Th 0.136 0.864 0.750 1
Th2 Th 0.864 0.136 0.250 1
Rh1 Rh 0.599 0.401 0.250 1
Rh2 Rh 0.401 0.599 0.750 1

=====

# 8
# Cs2NaLaBr6 | the Materials Project | PBE | relaxed
# Raw total energy ... -3.661 eV/atom
# Energy of formation from the pure elements ... -2.194 eV per atom
data_Cs2NaLaBr6
_space_group_name_H-M_alt 'P 1'
_space_group_IT_number 1
_space_group_name_Hall 'P 1'
_cell_length_a 8.303
_cell_length_b 8.303
_cell_length_c 8.303
_cell_angle_alpha 60.00
_cell_angle_beta 60.00
_cell_angle_gamma 60.00
loop_
_atom_site_label
_atom_site_type_symbol
_atom_site_fract_x
_atom_site_fract_y
_atom_site_fract_z
_atom_site_occupancy
Br1 Br 0.250 0.750 0.250 1
Br2 Br 0.250 0.750 0.750 1
Br3 Br 0.250 0.250 0.750 1
Cs1 Cs 0.250 0.250 0.250 1
Br4 Br 0.750 0.250 0.750 1
Na1 Na 0.000 0.000 0.000 1
Br5 Br 0.750 0.750 0.250 1
Br6 Br 0.750 0.250 0.250 1
Cs2 Cs 0.750 0.750 0.750 1
La1 La 0.500 0.500 0.500 1